First-principles (PBE) data for a relaxed Na2Ga2Si3H4O12 crystal, as listed in the Materials Project.

abc: 9.9649 10.0776 13.4415
angles: 109.21 109.30 83.82
Sites, in units of the cell vectors:
H 0.9048 0.7095 0.9183
H 0.9030 0.7110 0.4188
O 0.8899 0.6184 0.4263
H 0.7976 0.6187 0.4369
O 0.1329 0.9594 0.0925
Si 0.0012 0.9977 0.4987
H 0.1004 0.2893 0.1135
O 0.6435 0.5371 0.9882
Na 0.5534 0.9402 0.1770
Ga 0.0745 0.1833 0.8662
H 0.7975 0.6193 0.9357
H 0.3998 0.7903 0.9387
O 0.9697 0.8524 0.8886
O 0.1097 0.3812 0.6730
O 0.6426 0.5344 0.4825
O 0.6413 0.1304 0.6184
O 0.3568 0.8710 0.2288
Na 0.9459 0.4424 0.2759
Si 0.8072 0.0780 0.6533
O 0.6103 0.1174 0.8593
Si 0.1975 0.9210 0.7099
Si 0.5664 0.3180 0.1502
Na 0.4385 0.0610 0.4279
O 0.8907 0.6176 0.9263
H 0.0991 0.2899 0.6131
O 0.1456 0.3651 0.9283
O 0.3899 0.8827 0.4935
O 0.7010 0.4348 0.6556
H 0.2045 0.3824 0.7266
O 0.0898 0.7997 0.2051
Si 0.6910 0.5753 0.1245
O 0.1113 0.3822 0.1713
H 0.6049 0.2066 0.3426
O 0.6097 0.1188 0.3595
O 0.4165 0.3167 0.0484
O 0.4096 0.2992 0.5332
O 0.3895 0.8820 0.9927
O 0.0953 0.7996 0.7027
Na 0.5582 0.9414 0.6776
O 0.2930 0.5698 0.0901
O 0.5414 0.3592 0.7855
O 0.1414 0.9584 0.5919
O 0.1445 0.3710 0.4290
O 0.8489 0.0394 0.0240
O 0.8610 0.0390 0.5429
Si 0.1898 0.9226 0.2105
O 0.3667 0.4583 0.9025
H 0.6030 0.2084 0.8446
Ga 0.8037 0.0816 0.1536
O 0.6794 0.4281 0.1524
O 0.4587 0.6451 0.3369
O 0.3666 0.4522 0.3953
H 0.7055 0.1138 0.4108
H 0.2960 0.8845 0.5023
Na 0.0543 0.5615 0.0824
Si 0.5036 0.4990 0.8750
O 0.0492 0.1356 0.9786
Si 0.3058 0.4274 0.9926
O 0.2006 0.0652 0.3151
O 0.9618 0.8554 0.3920
Ga 0.9294 0.8120 0.7384
Na 0.9399 0.4401 0.7711
O 0.5380 0.3711 0.2723
Si 0.5009 0.5031 0.3722
H 0.7048 0.1109 0.9126
Na 0.0586 0.5591 0.5794
O 0.5885 0.6951 0.1761
Si 0.9970 0.9974 0.9948
O 0.9109 0.2206 0.2670
Ga 0.9211 0.8109 0.2393
Ga 0.4227 0.6900 0.2076
O 0.4622 0.6389 0.8357
Ga 0.5741 0.3122 0.6507
H 0.3999 0.7912 0.4389
H 0.2955 0.8837 0.0015
O 0.9096 0.2005 0.7559
O 0.3036 0.5651 0.5885
O 0.0428 0.1382 0.4810
Si 0.3095 0.4207 0.4893
O 0.7837 0.9215 0.1822
O 0.6166 0.1560 0.1225
O 0.8013 0.9364 0.6851
O 0.8584 0.6211 0.1762
H 0.2033 0.3827 0.2282
Ga 0.4300 0.6856 0.7073
O 0.2060 0.0653 0.8131
O 0.8603 0.6300 0.6670
Ga 0.0717 0.1891 0.3689
Na 0.4435 0.0590 0.9284
Si 0.6952 0.5763 0.6210
O 0.3633 0.8677 0.7304
O 0.5920 0.6975 0.6719

Output
The total moment comes out at 0.001 μB per formula unit. As for the space-group type: P1 (1). The formation energy is -2.4110 eV per atom. The value obtained for the total energy is -6.310 eV/atom.